A relaxed CaMnO2 crystal. Source: the Materials Project database, functional PBE with a Hubbard U.

Formation energy, eV per atom: -2.49
Total energy after the MP2020 corrections, Ry per atom: -0.5701
Magnetization, μB/f.u.: 5.00
E, eV per atom: -6.9955
Symmetry: P-1

```
data_CaMnO2
_cell_length_a 3.334
_cell_length_b 8.597
_cell_length_c 8.795
_cell_angle_alpha 81.96
_cell_angle_beta 86.91
_cell_angle_gamma 82.64
_symmetry_space_group_name_H-M 'P 1'
_symmetry_Int_Tables_number 1
loop_
_symmetry_equiv_pos_as_xyz
'x,y,z'
loop_
_atom_site_label
_atom_site_fract_x
_atom_site_fract_y
_atom_site_fract_z
O1 0.838 0.632 0.276
Mn1 0.322 0.927 0.728
O2 0.232 0.950 0.191
O3 0.609 0.239 0.419
O4 0.768 0.050 0.809
Ca1 0.920 0.622 0.735
Ca2 0.806 0.802 0.051
O5 0.354 0.726 0.899
Ca3 0.194 0.198 0.949
O6 0.162 0.368 0.724
Ca4 0.080 0.378 0.265
O7 0.646 0.274 0.101
Mn2 0.714 0.268 0.633
Mn3 0.678 0.073 0.272
O8 0.391 0.761 0.581
Mn4 0.286 0.732 0.367
```

A relaxed Hg2W2O7 crystal. Source: the Materials Project database, functional PBE with a Hubbard U.

Formation energy, eV per atom: -1.71
Total energy after the MP2020 corrections, Ry per atom: -0.5344
Magnetization, μB/f.u.: 0.00
E, eV per atom: -6.0267
Symmetry: C2/c
ΔE to the lowest computed polymorph, eV per atom: 0.001

```
data_Hg2W2O7
_cell_length_a 7.355
_cell_length_b 7.355
_cell_length_c 14.947
_cell_angle_alpha 76.65
_cell_angle_beta 76.65
_cell_angle_gamma 62.59
_symmetry_space_group_name_H-M 'P 1'
_symmetry_Int_Tables_number 1
loop_
_symmetry_equiv_pos_as_xyz
'x,y,z'
loop_
_atom_site_label
_atom_site_fract_x
_atom_site_fract_y
_atom_site_fract_z
Hg1 0.239 0.928 0.936
O1 0.794 0.839 0.669
O2 0.319 0.389 0.925
O3 0.681 0.611 0.075
O4 0.614 0.116 0.275
O5 0.386 0.884 0.725
O6 0.116 0.614 0.775
W1 0.152 0.160 0.688
Hg2 0.928 0.239 0.436
O7 0.161 0.206 0.831
O8 0.206 0.161 0.331
Hg3 0.258 0.609 0.061
W2 0.643 0.664 0.690
W3 0.664 0.643 0.190
O9 0.456 0.544 0.250
W4 0.336 0.357 0.810
Hg4 0.391 0.742 0.439
O10 0.971 0.029 0.750
O11 0.029 0.971 0.250
Hg5 0.761 0.072 0.064
O12 0.891 0.812 0.926
W5 0.160 0.152 0.188
W6 0.840 0.848 0.812
Hg6 0.072 0.761 0.564
O13 0.812 0.891 0.426
Hg7 0.609 0.258 0.561
O14 0.544 0.456 0.750
O15 0.075 0.576 0.322
W7 0.848 0.840 0.312
O16 0.109 0.188 0.074
O17 0.649 0.718 0.330
O18 0.925 0.424 0.678
O19 0.611 0.681 0.575
O20 0.576 0.075 0.822
O21 0.718 0.649 0.830
O22 0.884 0.386 0.225
W8 0.357 0.336 0.310
O23 0.282 0.351 0.170
O24 0.188 0.109 0.574
O25 0.839 0.794 0.169
O26 0.389 0.319 0.425
O27 0.351 0.282 0.670
Hg8 0.742 0.391 0.939
O28 0.424 0.925 0.178
```

A relaxed VCl2O crystal. Source: the Materials Project database, functional PBE with a Hubbard U.

Formation energy, eV per atom: -1.56
Total energy after the MP2020 corrections, Ry per atom: -0.4407
Magnetization, μB/f.u.: 1.00
E, eV per atom: -5.4000

```
data_VCl2O
_cell_length_a 3.503
_cell_length_b 14.754
_cell_length_c 7.068
_cell_angle_alpha 81.28
_cell_angle_beta 104.37
_cell_angle_gamma 83.18
_symmetry_space_group_name_H-M 'P 1'
_symmetry_Int_Tables_number 1
loop_
_symmetry_equiv_pos_as_xyz
'x,y,z'
loop_
_atom_site_label
_atom_site_fract_x
_atom_site_fract_y
_atom_site_fract_z
V1 0.265 0.735 0.265
O1 0.629 0.371 0.629
Cl1 0.407 0.967 0.781
Cl2 0.907 0.467 0.282
Cl3 0.657 0.718 0.031
Cl4 0.596 0.030 0.221
O2 0.878 0.122 0.878
O3 0.129 0.872 0.128
V2 0.515 0.484 0.516
V3 0.765 0.235 0.766
Cl5 0.157 0.218 0.531
Cl6 0.845 0.780 0.471
V4 0.015 0.984 0.016
Cl7 0.345 0.280 0.971
Cl8 0.096 0.530 0.721
O4 0.378 0.622 0.378
```

A relaxed Na2CrSiCO7 crystal. Source: the Materials Project database, functional PBE with a Hubbard U.

Formation energy, eV per atom: -2.33
Total energy after the MP2020 corrections, Ry per atom: -0.5485
Magnetization, μB/f.u.: 0.00
E, eV per atom: -6.8950

```
data_Na2CrSiCO7
_cell_length_a 5.259
_cell_length_b 18.133
_cell_length_c 6.449
_cell_angle_alpha 90.00
_cell_angle_beta 90.00
_cell_angle_gamma 88.31
_symmetry_space_group_name_H-M 'P 1'
_symmetry_Int_Tables_number 1
loop_
_symmetry_equiv_pos_as_xyz
'x,y,z'
loop_
_atom_site_label
_atom_site_fract_x
_atom_site_fract_y
_atom_site_fract_z
O1 0.214 0.834 0.543
O2 0.458 0.408 0.250
Cr1 0.802 0.675 0.750
O3 0.954 0.570 0.750
O4 0.458 0.908 0.250
O5 0.310 0.027 0.250
Na1 0.245 0.617 0.010
O6 0.605 0.270 0.750
Si1 0.704 0.214 0.250
O7 0.785 0.666 0.457
Si2 0.296 0.786 0.750
C1 0.272 0.459 0.250
C2 0.728 0.041 0.750
Na2 0.755 0.883 0.510
Na3 0.755 0.383 0.510
Na4 0.755 0.883 0.990
O8 0.542 0.092 0.750
C3 0.728 0.541 0.750
O9 0.046 0.930 0.250
O10 0.785 0.166 0.043
Na5 0.245 0.117 0.490
O11 0.954 0.070 0.750
O12 0.542 0.592 0.750
O13 0.785 0.166 0.457
Na6 0.755 0.383 0.990
O14 0.214 0.834 0.957
Na7 0.245 0.117 0.010
O15 0.215 0.334 0.957
O16 0.137 0.208 0.750
O17 0.691 0.473 0.750
O18 0.863 0.292 0.250
C4 0.272 0.959 0.250
Na8 0.245 0.617 0.490
O19 0.137 0.708 0.750
Cr2 0.802 0.175 0.750
O20 0.046 0.430 0.250
O21 0.605 0.770 0.750
Cr3 0.199 0.325 0.250
Si3 0.296 0.286 0.750
O22 0.690 0.973 0.750
O23 0.215 0.334 0.543
O24 0.395 0.230 0.250
O25 0.395 0.730 0.250
Si4 0.704 0.714 0.250
O26 0.310 0.527 0.250
O27 0.863 0.792 0.250
O28 0.785 0.666 0.044
Cr4 0.199 0.825 0.250
```

A relaxed Li2FeP2O8 crystal. Source: the Materials Project database, functional PBE with a Hubbard U.

Formation energy, eV per atom: -2.38
Total energy after the MP2020 corrections, Ry per atom: -0.5290
Magnetization, μB/f.u.: 4.00
E, eV per atom: -6.6018
Symmetry: Cm
ΔE to the lowest computed polymorph, eV per atom: 0.032

```
data_Li2FeP2O8
_cell_length_a 4.880
_cell_length_b 4.880
_cell_length_c 6.411
_cell_angle_alpha 88.97
_cell_angle_beta 88.97
_cell_angle_gamma 66.70
_symmetry_space_group_name_H-M 'P 1'
_symmetry_Int_Tables_number 1
loop_
_symmetry_equiv_pos_as_xyz
'x,y,z'
loop_
_atom_site_label
_atom_site_fract_x
_atom_site_fract_y
_atom_site_fract_z
P1 0.854 0.854 0.233
Fe1 0.497 0.497 0.009
O1 0.254 0.254 0.564
P2 0.149 0.149 0.765
O2 0.726 0.200 0.228
O3 0.753 0.753 0.440
Li1 0.824 0.824 0.729
O4 0.741 0.741 0.039
Li2 0.497 0.497 0.488
O5 0.800 0.266 0.770
O6 0.266 0.800 0.770
O7 0.200 0.726 0.228
O8 0.260 0.260 0.956
```

A relaxed Na2Mg3Mo4O16 crystal. Source: the Materials Project database, functional PBE with a Hubbard U.

Formation energy, eV per atom: -2.35
Total energy after the MP2020 corrections, Ry per atom: -0.5552
Magnetization, μB/f.u.: 0.00
E, eV per atom: -6.6017
Symmetry: P1

```
data_Na2Mg3Mo4O16
_cell_length_a 9.906
_cell_length_b 10.435
_cell_length_c 12.470
_cell_angle_alpha 86.63
_cell_angle_beta 102.45
_cell_angle_gamma 116.10
_symmetry_space_group_name_H-M 'P 1'
_symmetry_Int_Tables_number 1
loop_
_symmetry_equiv_pos_as_xyz
'x,y,z'
loop_
_atom_site_label
_atom_site_fract_x
_atom_site_fract_y
_atom_site_fract_z
Mg1 0.128 0.982 0.329
O1 0.310 0.644 0.309
Mo1 0.677 0.134 0.419
O2 0.960 0.988 0.194
O3 0.184 0.854 0.239
O4 0.316 0.147 0.259
Mo2 0.689 0.263 0.022
Mo3 0.644 0.667 0.739
Mo4 0.324 0.873 0.582
O5 0.626 0.728 0.408
O6 0.398 0.758 0.543
O7 0.852 0.246 0.379
Mg2 0.371 0.017 0.171
O8 0.812 0.645 0.807
O9 0.818 0.146 0.763
O10 0.189 0.353 0.193
O11 0.216 0.440 0.507
O12 0.430 0.419 0.400
O13 0.605 0.250 0.462
O14 0.148 0.757 0.619
O15 0.127 0.730 0.908
O16 0.038 0.011 0.806
Mo5 0.145 0.667 0.238
O17 0.134 0.161 0.401
Mg3 0.868 0.017 0.670
O18 0.226 0.038 0.028
O19 0.789 0.559 0.496
Mo6 0.194 0.260 0.530
O20 0.928 0.420 0.900
Na1 0.040 0.801 0.747
Mo7 0.310 0.739 0.975
Mo8 0.357 0.334 0.262
Mo9 0.810 0.739 0.476
Mo10 0.851 0.331 0.763
Na2 0.475 0.483 0.985
Mo11 0.825 0.869 0.081
O21 0.983 0.421 0.681
Mg4 0.627 0.982 0.829
O22 0.655 0.751 0.128
O23 0.713 0.445 0.014
Na3 0.960 0.198 0.254
Mg5 0.585 0.398 0.542
Mg6 0.417 0.604 0.462
O24 0.289 0.559 0.998
Na4 0.015 0.514 0.508
O25 0.870 0.266 0.087
Mg7 0.086 0.397 0.039
Na5 0.758 0.559 0.210
O26 0.498 0.423 0.183
O27 0.680 0.854 0.739
O28 0.359 0.229 0.859
O29 0.277 0.964 0.466
O30 0.777 0.966 0.969
O31 0.557 0.171 0.107
O32 0.375 0.263 0.607
O33 0.541 0.015 0.304
O34 0.940 0.824 0.387
O35 0.998 0.580 0.313
O36 0.444 0.830 0.890
O37 0.505 0.578 0.817
O38 0.053 0.172 0.609
O39 0.719 0.035 0.533
O40 0.124 0.256 0.957
O41 0.450 0.005 0.698
O42 0.069 0.576 0.102
O43 0.895 0.748 0.044
O44 0.372 0.838 0.104
O45 0.570 0.577 0.601
O46 0.874 0.841 0.605
Mg8 0.471 0.198 0.750
O47 0.620 0.169 0.886
Mg9 0.919 0.606 0.959
Mo12 0.184 0.133 0.913
O48 0.672 0.342 0.699
Na6 0.541 0.805 0.248
```